No. 1
## Rb2PdBr6 (PBE)

Data for Rb2PdBr6 after structural relaxation.

Cell: 7.581 7.581 7.581 Å, 60.00 60.00 60.00°
Sites, in units of the cell vectors:
Br 0.766 0.766 0.234
Br 0.766 0.234 0.766
Br 0.766 0.234 0.234
Br 0.234 0.766 0.766
Br 0.234 0.234 0.766
Br 0.234 0.766 0.234
Rb 0.250 0.250 0.250
Rb 0.750 0.750 0.750
Pd 0.000 0.000 0.000

## Properties
Total energy after the MP2020 corrections ... -0.118 hartree per atom

No. 2
## NaZnP (PBE)

Data for NaZnP after structural relaxation.

Cell: 4.070 4.070 6.929 Å, 90.00 90.00 90.00°
Sites, in units of the cell vectors:
P 0.500 0.000 0.788
P 0.000 0.500 0.212
Zn 0.500 0.500 0.000
Zn 0.000 0.000 0.000
Na 0.500 0.000 0.356
Na 0.000 0.500 0.644

No. 3
## CeSmO2 (PBE)

Data for CeSmO2 after structural relaxation.

Cell: 6.096 6.096 6.096 Å, 131.80 131.80 70.55°
Sites, in units of the cell vectors:
Sm 0.995 0.995 0.000
Sm 0.745 0.245 0.500
Ce 0.250 0.750 0.500
Ce 0.500 0.500 0.000
O 0.495 0.995 0.500
O 0.242 0.242 0.000
O 0.005 0.505 0.500
O 0.745 0.745 0.000

## Properties
Energy relative to the lowest polymorph listed for this composition ... 6 meV per atom
Total energy after the MP2020 corrections ... -0.305 hartree per atom

No. 4
## Ba3Al3P5 (PBE)

Data for Ba3Al3P5 after structural relaxation.

Cell: 12.932 12.932 12.932 Å, 69.38 69.38 69.38°
Sites, in units of the cell vectors:
P 0.450 0.375 0.109
P 0.891 0.550 0.625
P 0.109 0.450 0.375
P 0.703 0.115 0.972
P 0.115 0.750 0.385
P 0.615 0.203 0.472
P 0.625 0.891 0.550
P 0.550 0.625 0.891
P 0.528 0.385 0.797
P 0.115 0.972 0.703
P 0.875 0.950 0.609
P 0.750 0.385 0.115
P 0.125 0.050 0.391
P 0.391 0.125 0.050
P 0.385 0.797 0.528
P 0.385 0.115 0.750
P 0.615 0.885 0.250
P 0.250 0.615 0.885
P 0.203 0.472 0.615
P 0.297 0.885 0.028
P 0.028 0.297 0.885
P 0.885 0.250 0.615
P 0.797 0.528 0.385
P 0.972 0.703 0.115
P 0.885 0.028 0.297
P 0.950 0.609 0.875
P 0.609 0.875 0.950
P 0.050 0.391 0.125
P 0.472 0.615 0.203
P 0.375 0.109 0.450
Al 0.928 0.421 0.007
Al 0.493 0.079 0.572
Al 0.428 0.507 0.921
Al 0.980 0.520 0.250
Al 0.421 0.007 0.928
Al 0.921 0.428 0.507
Al 0.020 0.480 0.750
Al 0.480 0.750 0.020
Al 0.993 0.072 0.579
Al 0.250 0.980 0.520
Al 0.572 0.493 0.079
Al 0.507 0.921 0.428
Al 0.520 0.250 0.980
Al 0.579 0.993 0.072
Al 0.079 0.572 0.493
Al 0.072 0.579 0.993
Al 0.750 0.020 0.480
Al 0.007 0.928 0.421
Ba 0.101 0.101 0.101
Ba 0.223 0.651 0.146
Ba 0.646 0.151 0.723
Ba 0.651 0.146 0.223
Ba 0.854 0.777 0.349
Ba 0.354 0.849 0.277
Ba 0.750 0.750 0.750
Ba 0.849 0.277 0.354
Ba 0.349 0.854 0.777
Ba 0.899 0.899 0.899
Ba 0.777 0.349 0.854
Ba 0.399 0.399 0.399
Ba 0.146 0.223 0.651
Ba 0.601 0.601 0.601
Ba 0.151 0.723 0.646
Ba 0.277 0.354 0.849
Ba 0.723 0.646 0.151
Ba 0.250 0.250 0.250

No. 5
## La2Ti3O9 (PBE)

Data for La2Ti3O9 after structural relaxation.

Cell: 3.847 3.704 13.929 Å, 82.36 82.06 90.00°
Sites, in units of the cell vectors:
O 0.241 0.241 0.517
O 0.848 0.348 0.303
O 0.759 0.759 0.483
O 0.654 0.154 0.693
O 0.500 0.000 0.000
O 0.931 0.931 0.138
O 0.069 0.069 0.862
O 0.346 0.846 0.307
O 0.152 0.652 0.697
La 0.599 0.599 0.802
La 0.401 0.401 0.198
Ti 0.179 0.179 0.641
Ti 0.000 0.000 0.000
Ti 0.821 0.821 0.359

## Properties
Energy relative to the lowest polymorph listed for this composition ... 388 meV per atom
Total energy after the MP2020 corrections ... -0.326 hartree per atom

No. 6
## Na14Ca4Ti4Si7S5O48 (PBE)

Data for Na14Ca4Ti4Si7S5O48 after structural relaxation.

Cell: 18.517 9.251 22.570 Å, 89.99 89.66 119.94°
Sites, in units of the cell vectors:
Ti 0.170 0.669 0.033
Ti 0.684 0.682 0.811
Ti 0.510 0.041 0.652
Ti 0.490 0.972 0.154
Ti 0.663 0.673 0.016
Ti 0.679 0.687 0.530
Ti 0.827 0.326 0.675
Ti 0.010 0.982 0.153
Ti 0.184 0.686 0.312
Ti 0.326 0.328 0.176
Ti 0.162 0.653 0.516
Ti 0.990 0.009 0.653
O 0.703 0.138 0.525
O 0.414 0.991 0.695
O 0.427 0.539 0.745
O 0.089 0.967 0.196
O 0.399 0.963 0.423
O 0.087 0.169 0.102
O 0.154 0.820 0.257
O 0.399 0.812 0.194
O 0.243 0.329 0.742
O 0.929 0.577 0.025
O 0.582 0.962 0.920
O 0.405 0.816 0.587
O 0.904 0.781 0.309
O 0.754 0.661 0.860
O 0.914 0.834 0.193
O 0.170 0.853 0.575
O 0.589 0.206 0.420
O 0.263 0.832 0.742
O 0.077 0.671 0.469
O 0.252 0.846 0.077
O 0.627 0.201 0.811
O 0.070 0.654 0.361
O 0.586 0.002 0.605
O 0.514 0.821 0.702
O 0.499 0.825 0.098
O 0.255 0.670 0.254
O 0.555 0.644 0.363
O 0.341 0.565 0.529
O 0.321 0.513 0.922
O 0.254 0.848 0.360
O 0.748 0.133 0.637
O 0.944 0.517 0.418
O 0.430 0.503 0.138
O 0.248 0.365 0.135
O 0.143 0.463 0.743
O 0.082 0.504 0.578
O 0.730 0.364 0.134
O 0.959 0.540 0.142
O 0.592 0.182 0.090
O 0.401 0.749 0.311
O 0.421 0.316 0.238
O 0.265 0.650 0.865
O 0.754 0.839 0.477
O 0.933 0.285 0.525
O 0.640 0.821 0.240
O 0.922 0.527 0.740
O 0.578 0.686 0.753
O 0.243 0.129 0.920
O 0.073 0.690 0.747
O 0.336 0.499 0.237
O 0.015 0.206 0.200
O 0.170 0.502 0.356
O 0.589 0.214 0.697
O 0.836 0.173 0.738
O 0.984 0.760 0.806
O 0.901 0.052 0.812
O 0.482 0.204 0.304
O 0.901 0.988 0.695
O 0.343 0.166 0.745
O 0.756 0.840 0.754
O 0.415 0.998 0.097
O 0.437 0.521 0.426
O 0.491 0.772 0.809
O 0.669 0.487 0.075
O 0.213 0.128 0.530
O 0.173 0.879 0.864
O 0.587 0.496 0.568
O 0.899 0.836 0.923
O 0.567 0.480 0.861
O 0.662 0.468 0.471
O 0.085 0.205 0.420
O 0.115 0.193 0.813
O 0.517 0.823 0.421
O 0.395 0.818 0.920
O 0.821 0.493 0.631
O 0.246 0.166 0.232
O 0.655 0.490 0.757
O 0.502 0.167 0.592
O 0.025 0.822 0.417
O 0.254 0.663 0.577
O 0.177 0.507 0.077
O 0.020 0.215 0.922
O 0.572 0.453 0.246
O 0.742 0.358 0.420
O 0.613 0.036 0.310
O 0.932 0.358 0.641
O 0.761 0.882 0.358
O 0.751 0.668 0.976
O 0.660 0.833 0.974
O 0.581 0.000 0.195
O 0.206 0.279 0.022
O 0.161 0.488 0.474
O 0.576 0.676 0.470
O 0.126 0.056 0.310
O 0.400 0.019 0.813
O 0.581 0.659 0.077
O 0.814 0.497 0.915
O 0.905 0.993 0.087
O 0.254 0.381 0.414
O 0.500 0.188 0.197
O 0.519 0.220 0.918
O 0.317 0.543 0.635
O 0.747 0.326 0.733
O 0.901 0.966 0.426
O 0.082 0.163 0.696
O 0.059 0.469 0.865
O 0.003 0.814 0.699
O 0.843 0.517 0.244
O 0.441 0.370 0.918
O 0.230 0.095 0.635
O 0.092 0.002 0.591
O 0.080 0.481 0.971
O 0.816 0.091 0.134
O 0.825 0.151 0.420
O 0.928 0.312 0.243
O 0.355 0.121 0.016
O 0.574 0.478 0.970
O 0.313 0.131 0.415
O 0.940 0.358 0.927
O 0.670 0.461 0.363
O 0.251 0.834 0.477
O 0.742 0.154 0.240
O 0.265 0.674 0.973
O 0.763 0.691 0.241
O 0.460 0.378 0.642
O 0.857 0.588 0.518
O 0.318 0.145 0.130
O 0.428 0.279 0.526
O 0.751 0.127 0.914
O 0.917 0.831 0.599
O 0.166 0.858 0.972
O 0.002 0.838 0.091
O 0.753 0.845 0.076
O 0.994 0.209 0.306
O 0.753 0.657 0.580
O 0.090 0.969 0.921
O 0.434 0.584 0.023
O 0.677 0.849 0.581
O 0.000 0.176 0.600
O 0.085 0.677 0.069
O 0.713 0.299 0.029
O 0.841 0.116 0.027
O 0.668 0.838 0.857
O 0.079 0.468 0.251
Na 0.502 0.997 0.502
Na 0.690 0.364 0.252
Na 0.170 0.058 0.409
Na 0.839 0.986 0.580
Na 0.973 0.273 0.425
Na 0.647 0.965 0.090
Na 0.851 0.676 0.419
Na 0.339 0.989 0.582
Na 0.994 0.638 0.247
Na 0.162 0.662 0.668
Na 0.326 0.318 0.820
Na 0.659 0.336 0.579
Na 0.500 0.004 0.006
Na 0.837 0.691 0.084
Na 0.675 0.037 0.413
Na 0.497 0.355 0.742
Na 0.183 0.353 0.254
Na 0.824 0.315 0.330
Na 0.190 0.016 0.748
Na 0.972 0.665 0.922
Na 0.807 0.988 0.256
Na 0.164 0.669 0.173
Na 0.147 0.328 0.587
Na 0.158 0.988 0.083
Na 0.685 0.014 0.751
Na 0.325 0.316 0.332
Na 0.497 0.636 0.249
Na 0.850 0.034 0.910
Na 0.476 0.285 0.424
Na 0.354 0.041 0.916
Na 0.166 0.290 0.915
Na 0.662 0.657 0.665
Na 0.993 0.993 0.500
Na 0.998 0.002 0.004
Na 0.310 0.627 0.743
Na 0.483 0.673 0.924
Na 0.823 0.333 0.828
Na 0.353 0.668 0.411
Na 0.339 0.692 0.085
Na 0.671 0.285 0.909
Na 0.996 0.355 0.745
Na 0.663 0.662 0.171
S 0.025 0.382 0.921
S 0.028 0.665 0.415
S 0.523 0.667 0.420
S 0.666 0.375 0.419
S 0.003 0.297 0.250
S 0.503 0.706 0.752
S 0.168 0.958 0.919
S 0.311 0.664 0.920
S 0.526 0.388 0.916
S 0.994 0.698 0.747
S 0.831 0.018 0.081
S 0.675 0.333 0.082
S 0.332 0.646 0.582
S 0.175 0.018 0.583
S 0.493 0.288 0.246
Si 0.177 0.325 0.083
Si 0.677 0.029 0.584
Si 0.646 0.002 0.249
Si 0.988 0.644 0.082
Si 0.841 0.642 0.582
Si 0.156 0.002 0.252
Si 0.666 0.949 0.914
Si 0.492 0.341 0.581
Si 0.309 0.953 0.420
Si 0.147 0.290 0.750
Si 0.341 0.040 0.081
Si 0.349 0.685 0.251
Si 0.813 0.964 0.418
Si 0.353 0.001 0.751
Si 0.485 0.633 0.084
Si 0.853 0.702 0.249
Si 0.809 0.667 0.920
Si 0.850 0.014 0.752
Si 0.167 0.385 0.414
Si 0.658 0.314 0.751
Si 0.986 0.341 0.585
Ca 0.838 0.339 0.178
Ca 0.995 0.997 0.847
Ca 0.339 0.336 0.676
Ca 0.334 0.331 0.995
Ca 0.332 0.328 0.484
Ca 0.669 0.675 0.311
Ca 0.833 0.332 0.492
Ca 0.506 0.010 0.848
Ca 0.167 0.663 0.809
Ca 0.832 0.336 0.984
Ca 0.001 0.000 0.352
Ca 0.495 0.993 0.348

## Properties
Total energy after the MP2020 corrections ... -0.259 hartree per atom

No. 7
## HoGeRu (PBE)

Data for HoGeRu after structural relaxation.

Cell: 4.415 7.024 7.252 Å, 90.00 90.00 90.00°
Sites, in units of the cell vectors:
Ru 0.750 0.845 0.063
Ru 0.750 0.345 0.437
Ru 0.250 0.655 0.563
Ru 0.250 0.155 0.937
Ho 0.750 0.013 0.692
Ho 0.750 0.513 0.808
Ho 0.250 0.987 0.308
Ho 0.250 0.487 0.192
Ge 0.750 0.704 0.393
Ge 0.750 0.204 0.107
Ge 0.250 0.296 0.607
Ge 0.250 0.796 0.893

No. 8
## CeSe2 (PBE)

Data for CeSe2 after structural relaxation.

Cell: 14.837 14.837 14.837 Å, 109.47 109.47 109.47°
Sites, in units of the cell vectors:
Se 0.593 0.343 0.187
Se 0.843 0.093 0.687
Se 0.750 0.343 0.657
Se 0.250 0.093 0.907
Se 0.093 0.187 0.343
Se 0.750 0.907 0.093
Se 0.907 0.813 0.657
Se 0.813 0.157 0.407
Se 0.907 0.593 0.250
Se 0.343 0.157 0.250
Se 0.657 0.843 0.750
Se 0.093 0.407 0.750
Se 0.343 0.687 0.093
Se 0.657 0.313 0.907
Se 0.157 0.750 0.843
Se 0.157 0.907 0.313
Se 0.687 0.593 0.843
Se 0.843 0.250 0.157
Se 0.187 0.843 0.593
Se 0.593 0.750 0.407
Se 0.313 0.407 0.157
Se 0.407 0.250 0.593
Se 0.250 0.657 0.343
Se 0.407 0.657 0.813
Ce 0.875 0.250 0.625
Ce 0.750 0.875 0.625
Ce 0.625 0.750 0.875
Ce 0.875 0.125 0.250
Ce 0.125 0.875 0.750
Ce 0.375 0.250 0.125
Ce 0.375 0.625 0.250
Ce 0.250 0.625 0.875
Ce 0.625 0.375 0.750
Ce 0.125 0.750 0.375
Ce 0.750 0.375 0.125
Ce 0.250 0.125 0.375

## Properties
Total energy after the MP2020 corrections ... -0.210 hartree per atom

Computed E_form (kcal/mol of atoms) in order:
-30.9 -9.4 -72.9 -21.3 -76.0 -62.9 -16.8 -32.2